Entry 1:
Computed, not measured: crystalline MgZn2Bi4O12 at its relaxed geometry at the PBE level of DFT.

POSCAR file:
```
MgZn2Bi4O12
1.0
-1.5146 -2.8540 -4.4703
0.5437 -4.9008 2.9317
-7.8075 -0.0541 2.6394
Mg Zn Bi O
1 2 4 12
direct
0.4764 0.4699 0.7437
0.5126 0.5561 0.2275
0.9502 0.9758 0.6988
0.5011 0.0056 0.9986
0.9967 0.5062 0.0036
0.9994 0.5431 0.4839
0.4728 0.0354 0.4657
0.6507 0.4143 0.4399
0.1612 0.2392 0.6005
0.7927 0.7787 0.1001
0.3294 0.6890 0.9237
0.3048 0.7107 0.5850
0.8506 0.8866 0.4706
0.1957 0.2226 0.9148
0.6707 0.3144 0.0839
0.1569 0.4476 0.2514
0.6310 0.1217 0.7612
0.3700 0.8953 0.2328
0.8445 0.6164 0.7643
```

Results
E_form: -1.541 eV/atom
symmetry: No. 1
M_tot: 0.0 Bohr magnetons per cell
raw total energy: -0.1936 hartree per atom
energy above the lowest structure with this stoichiometry: 0.16 eV/f.u.


Entry 2:
Computed, not measured: crystalline MgZn2Bi4O12 at its relaxed geometry at the PBE level of DFT.

POSCAR file:
```
MgZn2Bi4O12
1.0
-0.6070 -3.1020 4.5817
-1.2039 -4.6277 -3.3437
7.9667 -1.9339 -0.4886
Mg Zn Bi O
1 2 4 12
direct
0.4633 0.4245 0.7498
0.4851 0.4977 0.2457
0.9621 0.0248 0.7493
0.5054 0.9764 0.9963
0.9905 0.4988 0.9988
0.9892 0.5136 0.5085
0.4916 0.9877 0.4911
0.6629 0.3515 0.4319
0.1786 0.2172 0.5980
0.8677 0.8475 0.9814
0.3234 0.6643 0.9155
0.3336 0.6564 0.5727
0.8651 0.8560 0.5278
0.1948 0.2004 0.9214
0.6517 0.3285 0.0672
0.1278 0.4696 0.2503
0.5965 0.0841 0.7529
0.4854 0.8428 0.2356
0.8354 0.4868 0.7557
```

Results
E_form: -1.549 eV/atom
symmetry: No. 1
M_tot: 0.0 Bohr magnetons per cell
raw total energy: -0.1939 hartree per atom
energy above the lowest structure with this stoichiometry: 0.00 eV/f.u.


Entry 3:
Computed, not measured: crystalline MgZr2Bi2O8 at its relaxed geometry at the PBE level of DFT.

POSCAR file:
```
MgZr2Bi2O8
1.0
2.2124 -3.5628 3.5273
6.3311 3.8980 3.5024
-2.1823 3.5143 3.4775
Mg Zr Bi O
1 2 2 8
direct
0.9773 0.5453 0.7273
0.1736 0.1528 0.9236
0.8192 0.8616 0.0692
0.6446 0.2108 0.3946
0.3270 0.8459 0.5770
0.4588 0.0717 0.7154
0.9695 0.0717 0.2129
0.2837 0.3513 0.0173
0.8650 0.3513 0.6315
0.0675 0.6877 0.4209
0.7448 0.6877 0.8915
0.0246 0.9562 0.7967
0.5192 0.9562 0.2471
```

Results
E_form: -2.753 eV/atom
symmetry: No. 5
M_tot: 0.0 Bohr magnetons per cell
raw total energy: -0.2724 hartree per atom


Entry 4:
Computed, not measured: crystalline RbMg6Bi at its relaxed geometry at the PBE level of DFT.

POSCAR file:
```
RbMg6Bi
1.0
-1.3730 4.5719 2.1022
0.3386 -2.8896 6.5054
11.9331 3.2130 0.8061
Rb Mg Bi
2 12 2
direct
0.0000 0.5000 0.3271
0.0000 0.0000 0.8271
0.0000 0.2479 0.0761
0.0000 0.7521 0.0761
0.0000 0.0000 0.3451
0.5000 0.7839 0.4292
0.5000 0.2161 0.4292
0.5000 0.0000 0.1717
0.0000 0.7479 0.5761
0.0000 0.2521 0.5761
0.0000 0.5000 0.8451
0.5000 0.2839 0.9292
0.5000 0.7161 0.9292
0.5000 0.5000 0.6717
0.5000 0.5000 0.1454
0.5000 0.0000 0.6454
```

Results
E_form: 0.138 eV/atom
M_tot: 0.0 Bohr magnetons per cell
raw total energy: -0.0614 hartree per atom
energy above the lowest structure with this stoichiometry: 0.00 eV/f.u.


Entry 5:
Computed, not measured: crystalline RbMg14Bi at its relaxed geometry at the PBE level of DFT.

POSCAR file:
```
RbMg14Bi
1.0
-2.4517 -1.5363 5.9738
2.3852 -4.7839 -3.9471
9.6913 1.2789 4.3063
Rb Mg Bi
1 14 1
direct
0.1687 0.3344 0.1250
0.1661 0.3330 0.6250
0.1636 0.8318 0.6250
0.6666 0.3278 0.1250
0.6686 0.3365 0.6250
0.6666 0.8389 0.1250
0.6686 0.8321 0.6250
0.3402 0.1638 0.3915
0.3402 0.1638 0.8585
0.3402 0.6764 0.3915
0.3402 0.6764 0.8585
0.8198 0.1599 0.3905
0.8198 0.1599 0.8595
0.8274 0.6637 0.3751
0.8274 0.6637 0.8749
0.1761 0.8380 0.1250
```

Results
E_form: 0.081 eV/atom
symmetry: No. 38
M_tot: 0.0 Bohr magnetons per cell
raw total energy: -0.0597 hartree per atom
energy above the lowest structure with this stoichiometry: 0.00 eV/f.u.


Entry 6:
Computed, not measured: crystalline RbMg14Bi at its relaxed geometry at the PBE level of DFT.

POSCAR file:
```
RbMg14Bi
1.0
6.5698 0.0000 0.0000
-3.2849 5.6896 0.0000
0.0000 0.0000 10.9168
Rb Mg Bi
1 14 1
direct
0.1667 0.3333 0.1250
0.1713 0.8357 0.1250
0.1632 0.8316 0.6250
0.6643 0.3287 0.1250
0.6684 0.3368 0.6250
0.6643 0.8357 0.1250
0.6684 0.8316 0.6250
0.3390 0.1610 0.3817
0.3390 0.1610 0.8683
0.3390 0.6781 0.3817
0.3390 0.6781 0.8683
0.8219 0.1610 0.3817
0.8219 0.1610 0.8683
0.8333 0.6667 0.3706
0.8333 0.6667 0.8794
0.1667 0.3333 0.6250
```

Results
E_form: 0.127 eV/atom
symmetry: No. 187
M_tot: 0.0 Bohr magnetons per cell
raw total energy: -0.0580 hartree per atom
energy above the lowest structure with this stoichiometry: 0.73 eV/f.u.


Entry 7:
Computed, not measured: crystalline RbMg6Bi at its relaxed geometry at the PBE level of DFT.

POSCAR file:
```
RbMg6Bi
1.0
5.3536 0.0000 0.0000
0.0000 6.8412 0.0000
0.0000 0.0000 12.3578
Rb Mg Bi
2 12 2
direct
0.5000 0.0000 0.1672
0.5000 0.5000 0.6672
0.5000 0.2449 0.4165
0.5000 0.7551 0.4165
0.0000 0.7360 0.0758
0.0000 0.2640 0.0758
0.0000 0.0000 0.3468
0.0000 0.5000 0.3384
0.5000 0.7449 0.9165
0.5000 0.2551 0.9165
0.0000 0.2360 0.5758
0.0000 0.7640 0.5758
0.0000 0.5000 0.8468
0.0000 0.0000 0.8384
0.5000 0.5000 0.1628
0.5000 0.0000 0.6628
```

Results
E_form: 0.143 eV/atom
M_tot: 0.0 Bohr magnetons per cell
raw total energy: -0.0612 hartree per atom
energy above the lowest structure with this stoichiometry: 0.04 eV/f.u.


Entry 8:
Computed, not measured: crystalline Mg14BiSb at its relaxed geometry at the PBE level of DFT.

POSCAR file:
```
Mg14BiSb
1.0
6.4776 0.0000 0.0000
-3.2388 5.6097 0.0000
0.0000 0.0000 10.3135
Mg Bi Sb
14 1 1
direct
0.1647 0.8324 0.1250
0.1660 0.8330 0.6250
0.6676 0.3353 0.1250
0.6670 0.3340 0.6250
0.6676 0.8324 0.1250
0.6670 0.8330 0.6250
0.3380 0.1620 0.3726
0.3380 0.1620 0.8774
0.3380 0.6760 0.3726
0.3380 0.6760 0.8774
0.8240 0.1620 0.3726
0.8240 0.1620 0.8774
0.8333 0.6667 0.3753
0.8333 0.6667 0.8747
0.1667 0.3333 0.6250
0.1667 0.3333 0.1250
```

Results
E_form: -0.043 eV/atom
symmetry: No. 187
M_tot: 0.0 Bohr magnetons per cell
raw total energy: -0.0710 hartree per atom
energy above the lowest structure with this stoichiometry: 0.00 eV/f.u.